Entry from the Materials Project: a geometry-optimized Ba2V3HO9 structure (PBE+U).

a = 8.0022 Å, b = 6.2753 Å, c = 9.2888 Å
α = 90.00°, β = 112.73°, γ = 90.00°
Closest atoms and distances in Å follow each position.
Space group P2_1/m (No. 11)
Asymmetric unit:
Ba 0.1791 0.2500 0.0883 [2 per cell]  9 O 2.73-3.03
Ba 0.2357 0.7500 0.7445 [2 per cell]  7 O 2.75-3.01
V 0.0642 0.7500 0.3270 [2 per cell]  4 O 1.71-1.84
V 0.4533 0.7500 0.1660 [2 per cell]  4 O 1.70-1.79
V 0.5000 0.0000 0.5000 [2 per cell]  6 O 2.03-2.12
H 0.2289 0.2500 0.4751 [2 per cell]  1 O 0.99
O 0.0020 0.5296 0.2067 [4 per cell]  1 V 1.73
O 0.0485 0.2500 0.5493 [2 per cell]  1 V 1.71, 1 H 1.82
O 0.2308 0.7500 0.0411 [2 per cell]  1 V 1.71
O 0.3072 0.7500 0.4498 [2 per cell]  1 V 1.84
O 0.3258 0.2500 0.4333 [2 per cell]  1 H 0.99
O 0.4199 0.2500 0.9448 [2 per cell]  1 V 1.70
O 0.4953 0.5121 0.2805 [4 per cell]  1 V 1.79

Calculated values
**E_tot**: -7.23 eV/atom
**ΔE_f**: -2.72 eV per atom